A plane-wave DFT calculation with GGA-PBE was carried out for SmMo6Se8 after structural relaxation.

## Properties
MP2020-corrected energy (eV/cell): -336.59

Cell and atoms, written as CIF:
```
data_SmMo6Se8
_cell_length_a 9.5437
_cell_length_b 9.5437
_cell_length_c 11.9818
_cell_angle_alpha 90.00
_cell_angle_beta 90.00
_cell_angle_gamma 120.00
_symmetry_space_group_name_H-M 'R -3'
_symmetry_Int_Tables_number 148
_symmetry_space_group_name_Hall '-R 3'
loop_
_atom_site_label
_atom_site_fract_x
_atom_site_fract_y
_atom_site_fract_z
Sm1 0.0000 0.0000 0.0000
Mo1 0.0169 0.1707 0.4060
Se1 0.0000 0.0000 0.2392
Se2 0.0045 0.6278 0.7506
```

=====

A plane-wave DFT calculation with GGA-PBE was carried out for CrN2 after structural relaxation.

## Properties
MP2020-corrected energy (eV/cell): -639.85

Cell and atoms, written as CIF:
```
data_CrN2
_cell_length_a 9.6876
_cell_length_b 9.7664
_cell_length_c 18.0767
_cell_angle_alpha 90.00
_cell_angle_beta 90.08
_cell_angle_gamma 119.72
_symmetry_space_group_name_H-M 'P 1'
_symmetry_Int_Tables_number 1
loop_
_symmetry_equiv_pos_as_xyz
'x,y,z'
loop_
_atom_site_label
_atom_site_fract_x
_atom_site_fract_y
_atom_site_fract_z
Cr1 0.0000 0.0000 0.0000
Cr2 0.0003 0.6713 0.4469
Cr3 0.0164 0.0094 0.5143
Cr4 0.0171 0.6709 0.9458
Cr5 0.0404 0.0020 0.1896
Cr6 0.0417 0.6724 0.2578
Cr7 0.0562 0.6695 0.7563
Cr8 0.0579 0.0107 0.7030
Cr9 0.3382 0.3284 0.4344
Cr10 0.3386 0.6595 0.4942
Cr11 0.3430 0.3473 0.9574
Cr12 0.3450 0.6798 0.0203
Cr13 0.3790 0.6589 0.6831
Cr14 0.3802 0.3311 0.2454
Cr15 0.3834 0.3457 0.7691
Cr16 0.3872 0.6821 0.2093
Cr17 0.6627 0.9940 0.9347
Cr18 0.6672 0.3402 0.5133
Cr19 0.6797 0.3312 0.0008
Cr20 0.6817 0.0104 0.4579
Cr21 0.7035 0.9932 0.7459
Cr22 0.7082 0.3401 0.7027
Cr23 0.7214 0.3335 0.1901
Cr24 0.7248 0.0128 0.2689
N1 0.0011 0.6730 0.3554
N2 0.0007 0.9890 0.0998
N3 0.0488 0.8332 0.2204
N4 0.0529 0.6689 0.8564
N5 0.0556 0.8335 0.7289
N6 0.0641 0.0237 0.6118
N7 0.1647 0.1647 0.4711
N8 0.1649 0.1674 0.9764
N9 0.1701 0.6728 0.4753
N10 0.1697 0.6771 0.9972
N11 0.2226 0.6780 0.2477
N12 0.2248 0.1710 0.2061
N13 0.2249 0.6715 0.7227
N14 0.2261 0.1716 0.7431
N15 0.3270 0.4993 0.4513
N16 0.3290 0.5045 0.9975
N17 0.3510 0.6350 0.5922
N18 0.3538 0.3082 0.3441
N19 0.3602 0.3682 0.8669
N20 0.3811 0.7025 0.1192
N21 0.3864 0.4973 0.7242
N22 0.3860 0.5016 0.2249
N23 0.4969 0.8303 0.9766
N24 0.4996 0.3402 0.4797
N25 0.5027 0.8286 0.4718
N26 0.5072 0.3421 0.9903
N27 0.5570 0.3399 0.2201
N28 0.5582 0.3423 0.7525
N29 0.5583 0.8311 0.7022
N30 0.5639 0.8386 0.2463
N31 0.6582 0.1661 0.9586
N32 0.6576 0.1681 0.4898
N33 0.6598 0.9726 0.8434
N34 0.6770 0.3494 0.6134
N35 0.7088 0.1606 0.7199
N36 0.7141 0.3210 0.0986
N37 0.7181 0.0299 0.3684
N38 0.7201 0.1663 0.2298
N39 0.8299 0.4987 0.4801
N40 0.8328 0.0046 0.9689
N41 0.8379 0.0089 0.5026
N42 0.8379 0.4954 0.9690
N43 0.8873 0.0071 0.7322
N44 0.8929 0.5015 0.7284
N45 0.8943 0.5038 0.2204
N46 0.8951 0.0128 0.2395
N47 0.9965 0.8356 0.9668
N48 0.9971 0.8376 0.4827
```

=====

A plane-wave DFT calculation with GGA-PBE was carried out for PrZn after structural relaxation.

Cell and atoms, written as CIF:
```
data_PrZn
_cell_length_a 3.7151
_cell_length_b 3.7151
_cell_length_c 3.7151
_cell_angle_alpha 90.00
_cell_angle_beta 90.00
_cell_angle_gamma 90.00
_symmetry_space_group_name_H-M 'P m -3 m'
_symmetry_Int_Tables_number 221
_symmetry_space_group_name_Hall '-P 4 2 3'
loop_
_atom_site_label
_atom_site_fract_x
_atom_site_fract_y
_atom_site_fract_z
Pr1 0.0000 0.0000 0.0000
Zn1 0.5000 0.5000 0.5000
```

=====

A plane-wave DFT calculation with GGA-PBE was carried out for Bi2O5 after structural relaxation.

## Properties
E above lowest polymorph (meV/atom): 181
MP2020-corrected energy (eV/cell): -77.98

Cell and atoms, written as CIF:
```
data_Bi2O5
_cell_length_a 6.2778
_cell_length_b 10.3947
_cell_length_c 3.9907
_cell_angle_alpha 90.00
_cell_angle_beta 90.00
_cell_angle_gamma 90.00
_symmetry_space_group_name_H-M 'P b a m'
_symmetry_Int_Tables_number 55
loop_
_symmetry_equiv_pos_as_xyz
'x,y,z'
'-x,-y,-z'
'-x,-y,z'
'x,y,-z'
'x+1/2,-y+1/2,-z'
'-x+1/2,y+1/2,z'
'-x+1/2,y+1/2,-z'
'x+1/2,-y+1/2,z'
loop_
_atom_site_label
_atom_site_fract_x
_atom_site_fract_y
_atom_site_fract_z
Bi1 0.2363 0.1413 0.0000
O1 0.0000 0.0000 0.0000
O2 0.0722 0.3149 0.0000
O3 0.2017 0.5862 0.5000
```

=====

A plane-wave DFT calculation with GGA-PBE was carried out for NdGdHg2 after structural relaxation.

Cell and atoms, written as CIF:
```
data_NdGdHg2
_cell_length_a 7.6311
_cell_length_b 7.6311
_cell_length_c 7.6311
_cell_angle_alpha 90.00
_cell_angle_beta 90.00
_cell_angle_gamma 90.00
_symmetry_space_group_name_H-M 'F m -3 m'
_symmetry_Int_Tables_number 225
_symmetry_space_group_name_Hall '-F 4 2 3'
loop_
_atom_site_label
_atom_site_fract_x
_atom_site_fract_y
_atom_site_fract_z
Nd1 0.0000 0.0000 0.0000
Gd1 0.0000 0.0000 0.5000
Hg1 0.2500 0.2500 0.2500
```

=====

A plane-wave DFT calculation with GGA-PBE was carried out for Na6Y4Ga4Si3S9O48 after structural relaxation.

## Properties
MP2020-corrected energy (eV/cell): -1553.43

Cell and atoms, written as CIF:
```
data_Na6Y4Ga4Si3S9O48
_cell_length_a 8.9362
_cell_length_b 15.4910
_cell_length_c 23.2670
_cell_angle_alpha 90.73
_cell_angle_beta 90.35
_cell_angle_gamma 90.09
_symmetry_space_group_name_H-M 'P 1'
_symmetry_Int_Tables_number 1
loop_
_symmetry_equiv_pos_as_xyz
'x,y,z'
loop_
_atom_site_label
_atom_site_fract_x
_atom_site_fract_y
_atom_site_fract_z
Na1 0.0000 0.0000 0.0000
Na2 0.0014 0.0060 0.4994
Na3 0.0088 0.3440 0.1573
Na4 0.0094 0.6649 0.3403
Na5 0.0138 0.3466 0.6641
Na6 0.1377 0.8342 0.4193
Na7 0.1422 0.1764 0.0757
Na8 0.3654 0.6736 0.5824
Na9 0.3700 0.3363 0.9079
Na10 0.4910 0.1759 0.8322
Na11 0.4965 0.8434 0.6607
Na12 0.5032 0.5045 0.9932
Na13 0.5075 0.4986 0.5045
Na14 0.5086 0.8449 0.1564
Na15 0.5203 0.1724 0.3384
Na16 0.6466 0.6765 0.0773
Na17 0.8563 0.1775 0.5826
Na18 0.9861 0.6687 0.8360
Y1 0.0080 0.0090 0.8569
Y2 0.0096 0.6718 0.6799
Y3 0.0131 0.3310 0.8120
Y4 0.4957 0.1734 0.1792
Y5 0.4979 0.8301 0.3149
Y6 0.4993 0.5085 0.3579
Y7 0.5024 0.1883 0.6843
Y8 0.5101 0.8368 0.8128
Y9 0.5125 0.1778 0.4829
Y10 0.9920 0.6780 0.9813
Y11 0.9948 0.3369 0.3136
Y12 0.9974 0.6791 0.1794
Ga1 0.0111 0.9938 0.6451
Ga2 0.0193 0.6771 0.4866
Ga3 0.0210 0.3364 0.0117
Ga4 0.4894 0.8347 0.5179
Ga5 0.4929 0.1822 0.9825
Ga6 0.4930 0.4937 0.1439
Ga7 0.5078 0.5126 0.8457
Ga8 0.5122 0.4816 0.6526
Ga9 0.5305 0.8294 0.0077
Ga10 0.9808 0.3308 0.5119
Ga11 0.9947 0.0164 0.3518
Ga12 0.9958 0.9986 0.1473
Si1 0.1541 0.8240 0.5797
Si2 0.1591 0.1909 0.9226
Si3 0.3464 0.6923 0.4220
Si4 0.3494 0.3237 0.0792
Si5 0.3616 0.3677 0.7539
Si6 0.6424 0.6816 0.9130
Si7 0.6633 0.3302 0.5811
Si8 0.8445 0.8304 0.0821
Si9 0.8593 0.1862 0.4146
S1 0.1419 0.1417 0.2464
S2 0.1415 0.8686 0.2505
S3 0.1504 0.5206 0.5770
S4 0.1519 0.4837 0.9174
S5 0.1944 0.1703 0.5818
S6 0.2148 0.5051 0.2444
S7 0.2205 0.8378 0.9189
S8 0.2871 0.3372 0.4186
S9 0.2912 0.0041 0.7443
S10 0.3108 0.6703 0.0832
S11 0.3497 0.9837 0.4144
S12 0.3530 0.0203 0.0794
S13 0.3629 0.6454 0.7452
S14 0.6407 0.9895 0.9212
S15 0.6458 0.6458 0.2437
S16 0.6473 0.3629 0.2449
S17 0.6547 0.0163 0.5827
S18 0.7089 0.6746 0.5770
S19 0.7136 0.3360 0.9207
S20 0.7225 0.0049 0.2490
S21 0.7867 0.5066 0.7489
S22 0.7984 0.8380 0.4177
S23 0.7994 0.1726 0.0796
S24 0.8486 0.5164 0.0829
S25 0.8583 0.8624 0.7448
S26 0.8604 0.1434 0.7428
S27 0.8661 0.4893 0.4209
O1 0.0741 0.7808 0.2465
O2 0.0750 0.2288 0.2493
O3 0.0750 0.9189 0.5886
O4 0.0762 0.7810 0.5217
O5 0.0799 0.5557 0.6300
O6 0.0832 0.0960 0.9189
O7 0.0826 0.1002 0.1922
O8 0.0829 0.2351 0.9793
O9 0.0835 0.4462 0.8652
O10 0.0832 0.9097 0.3040
O11 0.0876 0.0956 0.5893
O12 0.0913 0.4336 0.5666
O13 0.0931 0.5715 0.9243
O14 0.1028 0.2501 0.5756
O15 0.1074 0.9184 0.1981
O16 0.1080 0.0908 0.2980
O17 0.1178 0.4304 0.9692
O18 0.1184 0.9134 0.9175
O19 0.1192 0.5829 0.2409
O20 0.1204 0.4263 0.2456
O21 0.1196 0.5808 0.5282
O22 0.1296 0.7581 0.9212
O23 0.1379 0.2504 0.8663
O24 0.1384 0.7581 0.6331
O25 0.1617 0.6843 0.4271
O26 0.1649 0.3341 0.0720
O27 0.1803 0.3570 0.7521
O28 0.1816 0.9833 0.4071
O29 0.1845 0.0205 0.0880
O30 0.1896 0.3480 0.4689
O31 0.1927 0.9956 0.6927
O32 0.1963 0.6523 0.7443
O33 0.2024 0.3325 0.3638
O34 0.2027 0.0123 0.7974
O35 0.2163 0.6819 0.1349
O36 0.2188 0.6522 0.0323
O37 0.2849 0.1520 0.5307
O38 0.2887 0.1815 0.6334
O39 0.3039 0.5133 0.2977
O40 0.3044 0.8333 0.8647
O41 0.3072 0.1485 0.2444
O42 0.3070 0.8605 0.2521
O43 0.3123 0.4975 0.1931
O44 0.3174 0.4851 0.9143
O45 0.3166 0.5211 0.5836
O46 0.3195 0.8485 0.9699
O47 0.3391 0.8330 0.5735
O48 0.3447 0.1841 0.9264
O49 0.3635 0.2593 0.1342
O50 0.3638 0.7507 0.3642
O51 0.3773 0.2574 0.4205
O52 0.3790 0.0801 0.0311
O53 0.3786 0.9299 0.4657
O54 0.3835 0.9247 0.7460
O55 0.3876 0.0807 0.7403
O56 0.3892 0.4130 0.4168
O57 0.3902 0.4213 0.6953
O58 0.3987 0.5972 0.7976
O59 0.4035 0.7494 0.0777
O60 0.4054 0.0720 0.4213
O61 0.4097 0.9330 0.0697
O62 0.4164 0.5953 0.0914
O63 0.4191 0.9461 0.3623
O64 0.4210 0.6055 0.6915
O65 0.4229 0.5981 0.4175
O66 0.4242 0.0550 0.1330
O67 0.4260 0.7405 0.4769
O68 0.4266 0.7344 0.7488
O69 0.4282 0.4148 0.8135
O70 0.4293 0.4185 0.0883
O71 0.4308 0.2788 0.0236
O72 0.4409 0.2722 0.7524
O73 0.5589 0.5867 0.9046
O74 0.5744 0.7238 0.9743
O75 0.5762 0.9540 0.8671
O76 0.5772 0.7334 0.2458
O77 0.5781 0.0765 0.9306
O78 0.5813 0.2752 0.2411
O79 0.5824 0.0537 0.6337
O80 0.5827 0.2886 0.5250
O81 0.5880 0.4263 0.5903
O82 0.5879 0.6018 0.1910
O83 0.5925 0.4025 0.2983
O84 0.5936 0.9281 0.5717
O85 0.6044 0.6009 0.5821
O86 0.6090 0.4147 0.1938
O87 0.6087 0.9326 0.9706
O88 0.6108 0.4110 0.9173
O89 0.6105 0.5985 0.2963
O90 0.6135 0.7459 0.8602
O91 0.6158 0.7553 0.5720
O92 0.6188 0.2556 0.9262
O93 0.6279 0.0831 0.2458
O94 0.6279 0.9265 0.2517
O95 0.6326 0.0720 0.5319
O96 0.6475 0.2641 0.6346
O97 0.6601 0.8347 0.0718
O98 0.6794 0.1715 0.4179
O99 0.6818 0.5150 0.0915
O100 0.6923 0.8563 0.7452
O101 0.6957 0.1479 0.7407
O102 0.6962 0.5013 0.6950
O103 0.6960 0.5191 0.8012
O104 0.7003 0.4940 0.4158
O105 0.7023 0.1559 0.0290
O106 0.7030 0.8548 0.4678
O107 0.7091 0.8264 0.3641
O108 0.7095 0.1827 0.1326
O109 0.7981 0.3248 0.8671
O110 0.7975 0.6860 0.6304
O111 0.8065 0.9937 0.9164
O112 0.8079 0.6600 0.5267
O113 0.8114 0.6542 0.2425
O114 0.8132 0.3565 0.2454
O115 0.8138 0.3496 0.9715
O116 0.8152 0.9968 0.1964
O117 0.8157 0.0133 0.3021
O118 0.8222 0.0132 0.5906
O119 0.8228 0.6697 0.9181
O120 0.8476 0.3346 0.5727
O121 0.8581 0.7648 0.1367
O122 0.8708 0.5733 0.0331
O123 0.8757 0.4270 0.7520
O124 0.8855 0.5836 0.7452
O125 0.8898 0.2445 0.3586
O126 0.8920 0.7587 0.4231
O127 0.8934 0.2514 0.0747
O128 0.8957 0.9143 0.6938
O129 0.8981 0.0965 0.7956
O130 0.8996 0.4326 0.4696
O131 0.9045 0.0973 0.0865
O132 0.9037 0.9132 0.4105
O133 0.9096 0.4294 0.0734
O134 0.9142 0.9017 0.7985
O135 0.9212 0.0997 0.6902
O136 0.9222 0.5549 0.1346
O137 0.9241 0.7748 0.7408
O138 0.9246 0.7872 0.0273
O139 0.9248 0.9246 0.0931
O140 0.9255 0.2312 0.7449
O141 0.9285 0.5771 0.4292
O142 0.9286 0.4544 0.3662
O143 0.9298 0.2294 0.4739
O144 0.9447 0.0905 0.4090
```

=====

A plane-wave DFT calculation with GGA-PBE was carried out for Sr2La2MgTi3O12 after structural relaxation.

## Properties
E above lowest polymorph (meV/atom): 7
MP2020-corrected energy (eV/cell): -339.59

Cell and atoms, written as CIF:
```
data_Sr2La2MgTi3O12
_cell_length_a 15.7704
_cell_length_b 5.6187
_cell_length_c 5.6040
_cell_angle_alpha 90.00
_cell_angle_beta 90.08
_cell_angle_gamma 90.00
_symmetry_space_group_name_H-M 'P 1 21/c 1'
_symmetry_Int_Tables_number 14
loop_
_symmetry_equiv_pos_as_xyz
'x,y,z'
'-x,-y,-z'
'-x,y+1/2,-z+1/2'
'x,-y+1/2,z+1/2'
loop_
_atom_site_label
_atom_site_fract_x
_atom_site_fract_y
_atom_site_fract_z
Sr1 0.1225 0.0010 0.0031
La1 0.3826 0.5149 0.4824
Mg1 0.5000 0.0000 0.5000
Ti1 0.0000 0.0000 0.5000
Ti2 0.2506 0.0097 0.4880
O1 0.0126 0.2462 0.7540
O2 0.1246 0.5524 0.0022
O3 0.2320 0.2430 0.7635
O4 0.2703 0.7393 0.7483
O5 0.3682 0.0815 0.5140
O6 0.4763 0.7320 0.7319
```

=====

A plane-wave DFT calculation with GGA-PBE was carried out for ZnFe3 after structural relaxation.

Cell and atoms, written as CIF:
```
data_ZnFe3
_cell_length_a 2.9491
_cell_length_b 4.0300
_cell_length_c 8.1649
_cell_angle_alpha 90.00
_cell_angle_beta 90.00
_cell_angle_gamma 90.00
_symmetry_space_group_name_H-M 'C m m m'
_symmetry_Int_Tables_number 65
_symmetry_space_group_name_Hall '-C 2 2'
loop_
_atom_site_label
_atom_site_fract_x
_atom_site_fract_y
_atom_site_fract_z
Zn1 0.0000 0.0000 0.0000
Fe1 0.0000 0.0000 0.5000
Fe2 0.0000 0.5000 0.2573
```

=====

Number 1: ΔH_f (0 K) -0.96 eV per atom. Number 2: ΔH_f (0 K) -0.11 eV per atom. Number 3: ΔH_f (0 K) -0.31 eV per atom. Number 4: ΔH_f (0 K) -0.92 eV per atom. Number 5: ΔH_f (0 K) -0.49 eV per atom. Number 6: ΔH_f (0 K) -2.44 eV per atom. Number 7: ΔH_f (0 K) -3.59 eV per atom. Number 8: ΔH_f (0 K) 0.02 eV per atom.